# Li3BH6, optimized geometry, DFT GGA-PBE
data_Li3BH6
_cell_length_a 7.8679
_cell_length_b 7.8679
_cell_length_c 8.5483
_cell_angle_alpha 90.00
_cell_angle_beta 90.00
_cell_angle_gamma 120.00
_symmetry_space_group_name_H-M 'R -3'
_symmetry_Int_Tables_number 148
_symmetry_space_group_name_Hall '-R 3'
loop_
_atom_site_label
_atom_site_type_symbol
_atom_site_fract_x
_atom_site_fract_y
_atom_site_fract_z
Li1 Li 0.0141 0.2239 0.2176
B1 B 0.0000 0.0000 0.0000
B2 B 0.0000 0.0000 0.5000
H1 H 0.0149 0.1386 0.5910
H2 H 0.0275 0.2732 0.7128
# V = 7.64 Å³/atom
# crystal system = trigonal
# ΔE to the lowest computed polymorph = 33.9 kJ per mole of atoms